(1)
BaFeO3: relaxed, GGA+U.

Calculated values
**Symmetry**: No. 221
**Formation energy from the elements**: -2143 meV/atom
**Final energy**: -31.63 eV for the cell shown

Cell: 4.033 4.033 4.033 Å, 90.00 90.00 90.00°
Atoms (fractional coordinates):
1 Ba 0.500 0.500 0.500
2 Fe 0.000 0.000 0.000
3 O 0.500 0.000 0.000
4 O 0.000 0.500 0.000
5 O 0.000 0.000 0.500

---

(2)
Ba3Fe3O8: relaxed, GGA+U.

Calculated values
**Spin magnetization**: 14.0 μB/f.u.
**Symmetry**: No. 63
**Formation energy from the elements**: -2227 meV/atom
**Relative energy among the computed polymorphs**: 0.0 meV/atom
**Final energy**: -358.68 eV for the cell shown

Cell: 5.741 11.456 14.011 Å, 114.13 90.00 90.00°
Atoms (fractional coordinates):
1 Ba 0.750 0.373 0.000
2 Ba 0.250 0.627 0.000
3 Ba 0.750 0.875 0.000
4 Ba 0.250 0.125 0.000
5 Ba 0.750 0.715 0.685
6 Ba 0.250 0.970 0.685
7 Ba 0.250 0.285 0.315
8 Ba 0.750 0.030 0.315
9 Ba 0.750 0.213 0.681
10 Ba 0.250 0.469 0.681
11 Ba 0.250 0.787 0.319
12 Ba 0.750 0.531 0.319
13 Fe 0.750 0.393 0.492
14 Fe 0.250 0.099 0.492
15 Fe 0.250 0.607 0.508
16 Fe 0.750 0.901 0.508
17 Fe 0.750 0.201 0.154
18 Fe 0.250 0.953 0.154
19 Fe 0.250 0.799 0.846
20 Fe 0.750 0.047 0.846
21 Fe 0.750 0.699 0.151
22 Fe 0.250 0.453 0.151
23 Fe 0.250 0.301 0.849
24 Fe 0.750 0.547 0.849
25 O 0.750 0.130 0.000
26 O 0.250 0.870 0.000
27 O 0.750 0.626 0.000
28 O 0.250 0.374 0.000
29 O 0.750 0.400 0.623
30 O 0.250 0.223 0.623
31 O 0.250 0.600 0.377
32 O 0.750 0.777 0.377
33 O 0.750 0.927 0.646
34 O 0.250 0.719 0.646
35 O 0.250 0.073 0.354
36 O 0.750 0.281 0.354
37 O 0.500 0.000 0.500
38 O 0.500 0.500 0.500
39 O 0.000 0.000 0.500
40 O 0.000 0.500 0.500
41 O 0.500 0.416 0.831
42 O 0.000 0.416 0.831
43 O 0.500 0.584 0.169
44 O 0.000 0.584 0.169
45 O 0.500 0.918 0.835
46 O 0.000 0.918 0.835
47 O 0.500 0.082 0.165
48 O 0.000 0.082 0.165
49 O 0.502 0.834 0.172
50 O 0.498 0.338 0.172
51 O 0.998 0.834 0.172
52 O 0.002 0.338 0.172
53 O 0.498 0.166 0.828
54 O 0.502 0.662 0.828
55 O 0.002 0.166 0.828
56 O 0.998 0.662 0.828

---

(3)
BaFe2O4: relaxed, GGA+U.

Calculated values
**Symmetry**: No. 36
**Piezoelectric modulus e_max**: 0.83 C/m2
**Formation energy from the elements**: -2089 meV/atom
**Relative energy among the computed polymorphs**: 0.0 meV/atom
**Final energy**: -184.06 eV for the cell shown

Cell: 10.633 10.633 5.507 Å, 90.00 90.00 132.19°
Atoms (fractional coordinates):
1 Ba 0.620 0.380 0.276
2 Ba 0.380 0.620 0.776
3 Ba 0.130 0.870 0.243
4 Ba 0.870 0.130 0.743
5 Fe 0.918 0.499 0.747
6 Fe 0.082 0.501 0.247
7 Fe 0.501 0.082 0.747
8 Fe 0.499 0.918 0.247
9 Fe 0.764 0.676 0.769
10 Fe 0.236 0.324 0.269
11 Fe 0.324 0.236 0.769
12 Fe 0.676 0.764 0.269
13 O 0.283 0.717 0.142
14 O 0.717 0.283 0.642
15 O 0.449 0.551 0.256
16 O 0.551 0.449 0.756
17 O 0.921 0.503 0.094
18 O 0.079 0.497 0.594
19 O 0.497 0.079 0.094
20 O 0.503 0.921 0.594
21 O 0.921 0.668 0.622
22 O 0.079 0.332 0.122
23 O 0.332 0.079 0.622
24 O 0.668 0.921 0.122
25 O 0.740 0.816 0.602
26 O 0.260 0.184 0.102
27 O 0.184 0.260 0.602
28 O 0.816 0.740 0.102

---

(4)
BaFe4O7: relaxed, GGA+U.

Calculated values
**Spin magnetization**: 20.0 μB/f.u.
**Symmetry**: No. 186
**Formation energy from the elements**: -1681 meV/atom
**Relative energy among the computed polymorphs**: 179.3 meV/atom
**Final energy**: -153.54 eV for the cell shown

Cell: 6.489 6.489 10.568 Å, 90.00 90.00 120.00°
Atoms (fractional coordinates):
1 Ba 0.667 0.333 0.492
2 Ba 0.333 0.667 0.992
3 Fe 0.830 0.170 0.191
4 Fe 0.659 0.830 0.691
5 Fe 0.170 0.341 0.691
6 Fe 0.830 0.659 0.191
7 Fe 0.341 0.170 0.191
8 Fe 0.170 0.830 0.691
9 Fe 0.000 0.000 0.449
10 Fe 0.000 0.000 0.949
11 O 0.846 0.154 0.015
12 O 0.692 0.846 0.515
13 O 0.154 0.308 0.515
14 O 0.846 0.692 0.015
15 O 0.308 0.154 0.015
16 O 0.154 0.846 0.515
17 O 0.000 0.000 0.759
18 O 0.000 0.000 0.259
19 O 0.514 0.486 0.246
20 O 0.027 0.514 0.746
21 O 0.486 0.973 0.746
22 O 0.514 0.027 0.246
23 O 0.486 0.514 0.746
24 O 0.973 0.486 0.246